A geometry-optimized LaCeCu12 structure. Source: the Materials Project, functional PBE.

Calculated values
Formation energy = -0.118 eV per atom
Crystal system = orthorhombic
Space group = Pmc2_1, No. 26
E_tot = -123.41 eV for the cell shown

a = 5.094 Å, b = 10.086 Å, c = 8.079 Å
α = 90.00°, β = 90.00°, γ = 90.00°
Element x y z (fractional)
La1 0.000 0.185 0.000
La2 0.000 0.815 0.500
Ce1 0.500 0.315 0.480
Ce2 0.500 0.685 0.980
Cu1 0.000 0.108 0.387
Cu2 0.000 0.266 0.640
Cu3 0.000 0.348 0.304
Cu4 0.000 0.495 0.058
Cu5 0.000 0.505 0.558
Cu6 0.000 0.652 0.804
Cu7 0.000 0.734 0.140
Cu8 0.000 0.892 0.887
Cu9 0.246 0.059 0.675
Cu10 0.246 0.941 0.175
Cu11 0.255 0.441 0.805
Cu12 0.255 0.559 0.305
Cu13 0.500 0.006 0.422
Cu14 0.500 0.152 0.179
Cu15 0.500 0.235 0.838
Cu16 0.500 0.393 0.093
Cu17 0.500 0.607 0.593
Cu18 0.500 0.765 0.338
Cu19 0.500 0.848 0.679
Cu20 0.500 0.994 0.922
Cu21 0.745 0.441 0.805
Cu22 0.745 0.559 0.305
Cu23 0.754 0.059 0.675
Cu24 0.754 0.941 0.175